1.
A geometry-optimized KCaCl3 structure. Source: the Materials Project database, functional PBE.

Geometry as extended XYZ:
```
10
Lattice="-6.4345 1.4447 4.7174 -5.6632 -5.3692 2.2007 -1.2466 -2.8996 7.4687" Properties=species:S:1:pos:R:3 pbc="T T T"
Cl -9.1476 -5.1357 6.8227
Cl -4.9407 -5.0287 5.2896
Cl -7.2189 -1.6473 4.7804
Cl -8.4037 -1.7955 9.0971
Cl -4.1968 -1.6884 7.5640
Cl -6.1255 -5.1768 9.6064
Ca -8.7920 -4.4961 9.4787
Ca -4.5524 -2.3280 4.9080
K -1.8952 -0.9692 2.0433
K -11.4491 -5.8549 12.3434
```

Corrected total energy (MP2020 scheme) in eV per atom: -4.339
ΔE_f in kcal/mol of atoms: -60.115
Calculated total energy in eV/cell: -39.71
Space group: No. 148

2.
A geometry-optimized CaMg6Ti structure. Source: the Materials Project database, functional PBE.

Geometry as extended XYZ:
```
16
Lattice="-4.7024 0.0416 -2.2289 -2.5457 -2.7905 5.3185 -1.9974 10.2174 4.4048" Properties=species:S:1:pos:R:3 pbc="T T T"
Mg -2.0487 -1.1811 4.3000
Mg -0.6683 3.4187 1.4739
Mg -1.7745 5.3229 3.8431
Mg -2.6803 1.7041 -0.3888
Mg -2.9399 7.1321 6.3355
Mg -3.1114 3.8574 6.6361
Mg -0.8398 0.1440 1.7744
Mg -4.9518 5.4175 4.4728
Mg -4.8356 8.6960 4.2888
Mg -5.1097 2.1920 4.7456
Mg -6.0827 7.3289 6.8943
Mg -3.8111 3.6155 2.0327
Ca -1.6635 8.5094 3.6685
Ca -1.9377 2.0054 4.1253
Ti -3.6671 6.7517 1.7873
Ti -3.9412 0.2477 2.2441
```

Offset from the most stable computed form in meV/atom: 0
ΔE_f in kcal/mol of atoms: 3.205
Calculated total energy in eV/cell: -36.78

3.
A geometry-optimized Zn3P2H8O12 structure. Source: the Materials Project database, functional PBE.

Geometry as extended XYZ:
```
100
Lattice="-4.5153 1.0933 2.0891 -4.5689 -7.8525 -5.7656 3.5118 -12.3698 14.0641" Properties=species:S:1:pos:R:3 pbc="T T T"
O -1.9997 -16.8111 7.1471
O -4.6321 -13.5610 4.1871
O -0.9403 -5.5679 6.2005
O -1.6152 -9.8839 2.5730
O 1.2110 -7.2057 8.2926
O -3.0535 -7.6049 0.5289
O -2.2650 -8.6615 10.1391
O -1.6737 -10.7444 12.5073
O -1.8854 -6.3324 3.5303
O -2.8142 -5.6608 -2.2286
O -0.0308 -12.8085 10.1759
O -2.5189 -11.5241 9.8587
O -4.9790 -8.3021 2.4647
O -4.8314 -3.9612 -0.2553
O -0.5933 -10.8269 7.9229
O 0.3361 -13.8719 12.5155
O -4.8350 -15.4427 6.9905
O -0.9130 -18.0488 9.1537
O -1.9468 -10.9205 5.8138
O -6.7834 -11.9232 2.0950
O -3.1811 -6.2873 7.1543
O -2.4767 -4.2495 1.1622
O -3.0101 -4.2994 5.4935
O -1.1422 -8.6648 6.5951
O -3.3074 -10.4674 0.2485
O -0.7374 -3.6863 3.3971
O -7.9892 -7.6759 -2.7340
O -4.4302 -10.4642 3.7925
O -3.6256 -8.2085 4.5738
O -3.8987 -8.3846 -2.1197
O -5.9085 -5.2571 -2.1279
O -2.7582 -13.4682 12.6162
O -3.5727 -2.3179 3.2405
O -6.3339 -9.3505 -0.1873
O -3.4331 -17.7842 8.9887
O 2.4168 -11.4530 13.1216
O -2.3913 -12.8417 3.2333
O -3.6870 -12.7966 6.8573
O -4.6594 -1.0801 1.2339
O -5.5416 -6.3205 0.2117
O -4.5630 -5.2999 2.9331
O -2.5623 -14.8295 4.8941
O -1.0094 -13.8290 7.4545
O -3.0957 -14.8795 9.2254
O -2.1393 -1.3448 1.3989
O -3.9572 -9.2451 7.8146
O 0.7615 -9.7784 10.5749
O -0.7410 -15.1678 10.6429
H -4.6953 -6.2330 3.1813
H 1.1422 -9.8298 11.4706
H -4.3609 -12.8790 6.1549
H -4.9771 -5.2405 2.0529
H -2.0760 -11.1133 9.0760
H -5.5009 -14.7634 6.7208
H -2.2745 -14.9112 9.7805
H -3.5525 -15.7267 9.3926
H -2.4922 -7.0557 3.8337
H -1.6135 -11.7168 12.4352
H -5.2198 -15.7536 7.8466
H -6.7146 -9.2992 -1.0830
H -1.7515 -10.5585 13.4783
H -3.4964 -8.0156 1.3116
H -3.8209 -8.5705 -3.0907
H -2.4219 -8.8691 9.1975
H -0.5953 -13.8884 8.3347
H -0.0715 -4.3655 3.6668
H 0.8604 -8.8373 10.3421
H -3.9589 -7.4122 -2.0476
H -6.4328 -10.2917 0.0455
H -3.7775 -7.0255 0.1859
H -0.3526 -3.3754 2.5410
H -1.7949 -12.1035 10.2017
H -1.2115 -6.2500 4.2328
H -3.2979 -4.2177 0.6071
H -2.5572 -7.7205 10.2516
H -3.0152 -11.4084 0.1360
H -3.0802 -12.0733 6.5539
H -3.1504 -10.2598 1.1901
H -0.8771 -12.8959 7.2063
H -2.0199 -3.4023 0.9950
P 0.3464 -14.0845 10.9338
P -5.9188 -5.0445 -0.5462
P -4.8192 -8.9177 3.8576
P -3.4226 -1.1695 2.2386
P -2.3230 -5.0428 6.6424
P -3.2494 -14.0862 3.7452
P -0.7532 -10.2112 6.5300
P -2.1498 -17.9594 8.1490
Zn -0.7142 -17.0823 10.9364
Zn -2.4597 -10.9340 3.9459
Zn -7.4588 -5.8963 -3.2853
Zn -6.7310 -7.8663 1.2173
Zn -2.7500 -4.3509 3.3151
Zn -5.7133 -12.0447 3.7052
Zn 1.1586 -11.2627 9.1703
Zn -4.8582 -2.0466 -0.5488
Zn -3.1127 -8.1950 6.4417
Zn -2.8224 -14.7781 7.0725
Zn 0.1409 -7.0843 6.6824
Zn 1.8864 -13.2326 13.6729
```

Corrected total energy (MP2020 scheme) in eV per atom: -5.859
Offset from the most stable computed form in meV/atom: 11
ΔE_f in kcal/mol of atoms: -41.840
Calculated total energy in eV/cell: -552.95
Space group: No. 62

4.
A geometry-optimized ZrSn structure. Source: the Materials Project database, functional PBE.

Geometry as extended XYZ:
```
8
Lattice="5.2633 0.0000 0.0000 0.0000 5.8035 0.0000 0.0000 0.0000 5.9722" Properties=species:S:1:pos:R:3 pbc="T T T"
Sn 1.3158 0.6166 2.2397
Sn 3.9475 2.2851 5.2258
Sn 3.9475 5.1869 3.7326
Sn 1.3158 3.5184 0.7465
Zr 1.3158 3.5107 3.7318
Zr 3.9475 2.2928 2.2404
Zr 1.3158 0.6090 5.2265
Zr 3.9475 5.1945 0.7457
```

ΔE_f in kcal/mol of atoms: -9.174
Calculated total energy in eV/cell: -53.41
Space group: No. 62

5.
A geometry-optimized Y7Mg3Ge8 structure. Source: the Materials Project database, functional PBE.

Geometry as extended XYZ:
```
36
Lattice="7.1632 0.0000 0.0000 0.0000 7.8248 0.0000 0.0000 0.0006 14.4743" Properties=species:S:1:pos:R:3 pbc="T T T"
Mg 1.2394 4.4904 1.8305
Mg 6.0291 5.9748 0.0080
Mg 2.4475 1.8506 14.4663
Mg 4.8210 3.3351 12.6438
Mg 4.7334 2.0957 7.2355
Mg 1.1518 5.7298 7.2388
Y 1.2112 4.4557 12.7285
Y 4.7928 3.3698 1.7459
Y 3.6457 7.3071 12.2622
Y 7.0930 3.3951 4.9691
Y 5.9496 7.2399 5.4412
Y 3.5115 4.4304 9.5052
Y 5.9393 7.2528 9.0518
Y 7.0735 3.3914 9.4876
Y 2.3577 0.5727 5.4225
Y 2.3680 0.5856 9.0331
Y 0.0642 0.5184 2.2121
Y 3.6619 7.3152 2.2039
Y 3.4919 4.4341 4.9867
Y 0.0804 0.5103 12.2705
Ge 2.3490 2.2437 3.0397
Ge 3.7461 6.5651 7.2468
Ge 2.3933 2.2333 11.4071
Ge 1.2195 6.1293 10.3517
Ge 1.5335 6.9452 14.4743
Ge 5.1150 0.8803 0.0000
Ge 5.9749 5.5922 3.0672
Ge 6.9574 2.6920 14.4667
Ge 5.9306 5.5818 11.4346
Ge 5.6441 4.7934 7.2328
Ge 4.7944 1.7088 10.3585
Ge 3.3758 5.1335 0.0077
Ge 0.1645 1.2604 7.2275
Ge 1.2128 6.1167 4.1158
Ge 2.0625 3.0320 7.2416
Ge 4.8011 1.6962 4.1226
```

ΔE_f in kcal/mol of atoms: -17.397
Calculated total energy in eV/cell: -201.26
Space group: No. 4

6.
A geometry-optimized Na2LaCeTi4O12 structure. Source: the Materials Project database, functional PBE.

Geometry as extended XYZ:
```
20
Lattice="-4.0128 -1.2588 3.5154 -1.2694 -5.2533 0.9147 4.1808 -2.4620 8.1919" Properties=species:S:1:pos:R:3 pbc="T T T"
O -0.6929 -4.2800 6.4458
O -1.4723 -4.1671 3.7675
O 0.5150 -7.8893 10.8951
O 1.0769 -3.4052 4.5467
O -1.3199 -6.8189 7.2616
O -2.5708 -2.3263 5.6222
O 0.8804 -5.5487 8.3716
O -0.7677 -1.5118 3.6414
O -0.7768 -3.3773 9.1291
O -1.3381 -5.9997 9.9328
O -0.7834 -2.2978 0.9372
O -1.4473 -4.9942 1.0834
La -2.9833 -2.7579 2.5394
Ti -0.7322 -2.8591 5.0573
Ti -1.0477 -5.1271 8.2080
Ti 2.7051 -6.0819 7.8487
Ti -1.7559 -5.8779 2.8295
Ce 0.4756 -5.9813 5.3381
Na 1.4781 -2.9770 7.5859
Na -3.2655 -4.9982 5.6864
```

Corrected total energy (MP2020 scheme) in eV per atom: -8.642
ΔE_f in kcal/mol of atoms: -78.819
Calculated total energy in eV/cell: -164.59
Space group: No. 5

What did the sixth record say?
A geometry-optimized Na2LaCeTi4O12 structure. Source: the Materials Project database, functional PBE.

Geometry as extended XYZ:
```
20
Lattice="-4.0128 -1.2588 3.5154 -1.2694 -5.2533 0.9147 4.1808 -2.4620 8.1919" Properties=species:S:1:pos:R:3 pbc="T T T"
O -0.6929 -4.2800 6.4458
O -1.4723 -4.1671 3.7675
O 0.5150 -7.8893 10.8951
O 1.0769 -3.4052 4.5467
O -1.3199 -6.8189 7.2616
O -2.5708 -2.3263 5.6222
O 0.8804 -5.5487 8.3716
O -0.7677 -1.5118 3.6414
O -0.7768 -3.3773 9.1291
O -1.3381 -5.9997 9.9328
O -0.7834 -2.2978 0.9372
O -1.4473 -4.9942 1.0834
La -2.9833 -2.7579 2.5394
Ti -0.7322 -2.8591 5.0573
Ti -1.0477 -5.1271 8.2080
Ti 2.7051 -6.0819 7.8487
Ti -1.7559 -5.8779 2.8295
Ce 0.4756 -5.9813 5.3381
Na 1.4781 -2.9770 7.5859
Na -3.2655 -4.9982 5.6864
```

Corrected total energy (MP2020 scheme) in eV per atom: -8.642
ΔE_f in kcal/mol of atoms: -78.819
Calculated total energy in eV/cell: -164.59
Space group: No. 5